{
  "formula": "Na5Fe6Si12O36",
  "functional": "PBE with a Hubbard U",
  "state": "relaxed",
  "lattice": [[8.308, -4.445, 0.000], [8.308, 4.445, 0.000], [-3.295, 0.000, 9.056]],
  "species": ["Na", "Na", "Na", "Na", "Na", "Fe", "Fe", "Fe", "Fe", "Fe", "Fe", "Si", "Si", "Si", "Si", "Si", "Si", "Si", "Si", "Si", "Si", "Si", "Si", "O", "O", "O", "O", "O", "O", "O", "O", "O", "O", "O", "O", "O", "O", "O", "O", "O", "O", "O", "O", "O", "O", "O", "O", "O", "O", "O", "O", "O", "O", "O", "O", "O", "O", "O", "O"],
  "fractional_positions": [[0.000, 0.000, 0.000], [0.241, 0.425, 0.832], [0.336, 0.333, 0.333], [0.575, 0.759, 0.168], [0.667, 0.664, 0.667], [0.263, 0.063, 0.664], [0.303, 0.697, 0.500], [0.605, 0.395, 0.000], [0.636, 0.029, 0.833], [0.937, 0.737, 0.336], [0.971, 0.364, 0.167], [0.014, 0.785, 0.689], [0.024, 0.440, 0.522], [0.215, 0.986, 0.311], [0.228, 0.642, 0.143], [0.347, 0.117, 0.022], [0.358, 0.772, 0.857], [0.554, 0.318, 0.643], [0.560, 0.976, 0.478], [0.682, 0.446, 0.357], [0.692, 0.106, 0.190], [0.883, 0.653, 0.978], [0.894, 0.308, 0.810], [0.006, 0.606, 0.658], [0.042, 0.476, 0.373], [0.053, 0.155, 0.243], [0.055, 0.793, 0.539], [0.061, 0.661, 0.009], [0.069, 0.143, 0.754], [0.180, 0.281, 0.091], [0.180, 0.764, 0.824], [0.187, 0.271, 0.589], [0.192, 0.625, 0.294], [0.207, 0.945, 0.461], [0.236, 0.820, 0.176], [0.339, 0.939, 0.991], [0.375, 0.808, 0.706], [0.383, 0.132, 0.871], [0.388, 0.487, 0.577], [0.394, 0.994, 0.342], [0.395, 0.478, 0.076], [0.513, 0.612, 0.423], [0.515, 0.095, 0.156], [0.522, 0.605, 0.924], [0.524, 0.958, 0.627], [0.536, 0.283, 0.793], [0.564, 0.155, 0.509], [0.666, 0.273, 0.322], [0.706, 0.142, 0.039], [0.717, 0.464, 0.207], [0.719, 0.820, 0.909], [0.727, 0.334, 0.678], [0.729, 0.813, 0.411], [0.845, 0.436, 0.491], [0.845, 0.947, 0.757], [0.857, 0.931, 0.246], [0.858, 0.294, 0.961], [0.868, 0.617, 0.129], [0.905, 0.485, 0.844]],
  "dft_energy_ev_per_atom": -7.145,
  "formation_energy_ev_per_atom": -2.70,
  "magmom_total_mub_per_fu": 29.00,
  "rho_g_cm3": 3.38
}